No. 1
{
  "formula": "TiZnBi2O6",
  "functional": "PBE",
  "state": "relaxed",
  "lattice": [[5.301, 0.000, 0.000], [0.000, 5.301, 0.000], [0.000, 0.000, 4.995]],
  "species": ["Ti", "Zn", "Bi", "Bi", "O", "O", "O", "O", "O", "O"],
  "frac_coords": [[0.000, 0.000, 0.000], [0.500, 0.500, 0.033], [0.000, 0.500, 0.586], [0.500, 0.000, 0.586], [0.000, 0.000, 0.358], [0.243, 0.243, 0.859], [0.243, 0.757, 0.859], [0.500, 0.500, 0.415], [0.757, 0.243, 0.859], [0.757, 0.757, 0.859]],
  "polymorph_energy_kj_per_mol_atoms": 1.8,
  "piezo_max_c_m2": 2.3,
  "sg": "P4mm"
}

=====

No. 2
{
  "formula": "TiZnBi2O6",
  "functional": "PBE",
  "state": "relaxed",
  "lattice": [[-2.652, 2.652, 4.938], [2.652, -2.652, 4.938], [2.652, 2.652, -4.938]],
  "species": ["Ti", "Zn", "Bi", "Bi", "O", "O", "O", "O", "O", "O"],
  "frac_coords": [[0.000, 0.000, 0.000], [0.468, 0.468, 0.000], [0.199, 0.699, 0.500], [0.699, 0.199, 0.500], [0.275, 0.275, 0.000], [0.310, 0.310, 0.498], [0.310, 0.812, 0.000], [0.812, 0.310, 0.000], [0.812, 0.812, 0.502], [0.819, 0.819, 0.000]],
  "polymorph_energy_kj_per_mol_atoms": 1.2,
  "sg": "I4mm"
}

=====

No. 3
{
  "formula": "U4BiO10",
  "functional": "PBE",
  "state": "relaxed",
  "lattice": [[-4.304, 4.304, 2.721], [4.304, -4.304, 2.721], [4.304, 4.304, -2.721]],
  "species": ["U", "U", "U", "U", "Bi", "O", "O", "O", "O", "O", "O", "O", "O", "O", "O"],
  "frac_coords": [[0.101, 0.301, 0.402], [0.301, 0.899, 0.200], [0.699, 0.101, 0.800], [0.899, 0.699, 0.598], [0.500, 0.500, 0.000], [0.036, 0.142, 0.691], [0.142, 0.451, 0.106], [0.250, 0.750, 0.500], [0.345, 0.036, 0.894], [0.451, 0.345, 0.309], [0.549, 0.655, 0.691], [0.655, 0.964, 0.106], [0.750, 0.250, 0.500], [0.858, 0.549, 0.894], [0.964, 0.858, 0.309]],
  "sg": "I4/m"
}

=====

| no. | calculated formation energy (eV per atom) |
| --- | --- |
| 1 | -2.19 |
| 2 | -2.20 |
| 3 | -3.40 |